# GGA+U MgTe3WO12, optimized geometry
data_MgTe3WO12
_space_group_name_H-M_alt 'P 1'
_space_group_IT_number 1
_cell_length_a 5.476
_cell_length_b 11.060
_cell_length_c 9.684
_cell_angle_alpha 28.69
_cell_angle_beta 52.39
_cell_angle_gamma 57.46
loop_
_space_group_symop_operation_xyz
'x,y,z'
loop_
_atom_site_label
_atom_site_fract_x
_atom_site_fract_y
_atom_site_fract_z
Mg1 0.800 0.003 0.784
Te1 0.499 0.001 0.501
Te2 0.500 0.503 0.501
Te3 0.001 0.494 0.999
W1 0.995 0.006 0.007
O1 0.374 0.293 0.145
O2 0.217 0.095 0.657
O3 0.125 0.303 0.745
O4 0.854 0.178 0.271
O5 0.373 0.827 0.105
O6 0.727 0.376 0.382
O7 0.251 0.601 0.643
O8 0.650 0.181 0.852
O9 0.130 0.824 0.736
O10 0.850 0.719 0.217
O11 0.757 0.890 0.351
O12 0.628 0.701 0.856
# E (eV/cell): -99.48
# ΔE to the lowest computed polymorph (meV per atom): 57
# DFT formation energy (eV/atom): -1.694

***

# GGA+U MgTe3WO12, optimized geometry
data_MgTe3WO12
_space_group_name_H-M_alt 'P 1'
_space_group_IT_number 1
_cell_length_a 5.313
_cell_length_b 4.947
_cell_length_c 8.886
_cell_angle_alpha 90.00
_cell_angle_beta 90.00
_cell_angle_gamma 89.28
loop_
_space_group_symop_operation_xyz
'x,y,z'
loop_
_atom_site_label
_atom_site_fract_x
_atom_site_fract_y
_atom_site_fract_z
Mg1 0.500 0.500 0.218
Te1 0.000 0.500 0.416
Te2 0.500 0.000 0.902
Te3 0.500 0.500 0.596
W1 0.000 0.000 0.097
O1 0.146 0.264 0.263
O2 0.185 0.293 0.574
O3 0.161 0.215 0.954
O4 0.323 0.698 0.420
O5 0.308 0.785 0.101
O6 0.364 0.745 0.740
O7 0.636 0.255 0.740
O8 0.692 0.215 0.101
O9 0.677 0.302 0.420
O10 0.839 0.785 0.954
O11 0.815 0.707 0.574
O12 0.854 0.736 0.263
# E (eV/cell): -99.96
# ΔE to the lowest computed polymorph (meV per atom): 29
# DFT formation energy (eV/atom): -1.723